Entry 1:
The following is a GGA-PBE calculation of a relaxed structure of BaEuZr2O6, from the Materials Project.

abc: 4.2234 4.2234 8.4466
angles: 90.00 90.00 90.00
With the nearest neighbours (Å) after each atom.
Fractional coordinates of all 10 atoms:
Ba1 0.5000 0.5000 0.5000  12 O 2.99-3.03
Eu1 0.5000 0.5000 0.0000  12 O 2.94-2.99
Zr1 0.0000 0.0000 0.7536  6 O 2.08-2.14
Zr2 0.0000 0.0000 0.2464  6 O 2.08-2.14
O1 0.0000 0.5000 0.7575  2 Zr 2.11
O2 0.0000 0.5000 0.2425  2 Zr 2.11
O3 0.5000 0.0000 0.7575  2 Zr 2.11
O4 0.5000 0.0000 0.2425  2 Zr 2.11
O5 0.0000 0.0000 0.0000  2 Zr 2.08
O6 0.0000 0.0000 0.5000  2 Zr 2.14

Summary:
* offset from the most stable computed form: 2 meV/atom
* symmetry: P4/mmm, No. 123
* total magnetic moment: 0.70 μB per atom


Entry 2:
The following is a GGA-PBE calculation of a relaxed structure of NaW6NCl18, from the Materials Project.

abc: 9.2024 9.2024 18.3112
angles: 90.00 90.00 120.00
With the nearest neighbours (Å) after each atom.
Fractional coordinates of all 52 atoms:
Na1 0.0000 0.0000 0.5000  6 Cl 2.99
Na2 0.0000 0.0000 0.0000  6 Cl 2.99
W1 0.1824 0.4872 0.8347  1 N 2.18, 3 Cl 2.40-2.43
W2 0.6952 0.1824 0.3347  1 N 2.18, 3 Cl 2.40-2.43
W3 0.3048 0.8176 0.6653  1 N 2.18, 3 Cl 2.40-2.43
W4 0.5128 0.6952 0.8347  1 N 2.18, 3 Cl 2.40-2.43
W5 0.8176 0.5128 0.3347  1 N 2.18, 3 Cl 2.40-2.43
W6 0.4872 0.3048 0.1653  1 N 2.18, 3 Cl 2.40-2.43
W7 0.5128 0.6952 0.6653  1 N 2.18, 3 Cl 2.40-2.43
W8 0.8176 0.5128 0.1653  1 N 2.18, 3 Cl 2.40-2.43
W9 0.4872 0.3048 0.3347  1 N 2.18, 3 Cl 2.40-2.43
W10 0.1824 0.4872 0.6653  1 N 2.18, 3 Cl 2.40-2.43
W11 0.3048 0.8176 0.8347  1 N 2.18, 3 Cl 2.40-2.43
W12 0.6952 0.1824 0.1653  1 N 2.18, 3 Cl 2.40-2.43
N1 0.3333 0.6667 0.7500  6 W 2.18
N2 0.6667 0.3333 0.2500  6 W 2.18
Cl1 0.7632 0.7342 0.6027  1 W 2.43
Cl2 0.5198 0.9510 0.2500  2 W 2.47
Cl3 0.9510 0.4311 0.7500  2 W 2.47
Cl4 0.0289 0.7632 0.3973  1 W 2.43
Cl5 0.9711 0.2368 0.8973  1 W 2.43
Cl6 0.7632 0.7342 0.8973  1 W 2.43
Cl7 0.4311 0.4802 0.2500  2 W 2.47
Cl8 0.3677 0.4822 0.9258  2 W 2.40-2.41
Cl9 0.4822 0.1144 0.4258  2 W 2.40-2.41
Cl10 0.8856 0.3677 0.4258  2 W 2.40-2.41
Cl11 0.5689 0.5198 0.7500  2 W 2.47
Cl12 0.1950 0.2860 0.7500  2 W 2.46
Cl13 0.2658 0.0289 0.8973  1 W 2.43
Cl14 0.0289 0.7632 0.1027  1 W 2.43
Cl15 0.2368 0.2658 0.1027  1 W 2.43
Cl16 0.6323 0.5178 0.4258  2 W 2.40-2.41
Cl17 0.1144 0.6323 0.9258  2 W 2.40-2.41
Cl18 0.7342 0.9711 0.1027  1 W 2.43
Cl19 0.7342 0.9711 0.3973  1 W 2.43
Cl20 0.8050 0.7140 0.2500  2 W 2.46
Cl21 0.9711 0.2368 0.6027  1 W 2.43
Cl22 0.5178 0.8856 0.5742  2 W 2.40-2.41
Cl23 0.2368 0.2658 0.3973  1 W 2.43
Cl24 0.4802 0.0490 0.7500  2 W 2.47
Cl25 0.2658 0.0289 0.6027  1 W 2.43
Cl26 0.1144 0.6323 0.5742  2 W 2.40-2.41
Cl27 0.4822 0.1144 0.0742  2 W 2.40-2.41
Cl28 0.9090 0.1950 0.2500  2 W 2.46
Cl29 0.6323 0.5178 0.0742  2 W 2.40-2.41
Cl30 0.3677 0.4822 0.5742  2 W 2.40-2.41
Cl31 0.0910 0.8050 0.7500  2 W 2.46
Cl32 0.0490 0.5689 0.2500  2 W 2.47
Cl33 0.2860 0.0910 0.2500  2 W 2.46
Cl34 0.8856 0.3677 0.0742  2 W 2.40-2.41
Cl35 0.5178 0.8856 0.9258  2 W 2.40-2.41
Cl36 0.7140 0.9090 0.7500  2 W 2.46

Summary:
* symmetry: P6_3/m, No. 176


Entry 3:
The following is a GGA-PBE calculation of a relaxed structure of GdCo3B2, from the Materials Project.

abc: 5.0205 5.0205 3.0134
angles: 90.00 90.00 120.00
With the nearest neighbours (Å) after each atom.
Fractional coordinates of all 6 atoms:
Gd1 0.0000 0.0000 0.0000  6 B 2.90, 12 Co 2.93, 2 Gd 3.01
Co1 0.5000 0.0000 0.5000  4 B 2.09
Co2 0.5000 0.5000 0.5000  4 B 2.09
Co3 0.0000 0.5000 0.5000  4 B 2.09
B1 0.3333 0.6667 0.0000  6 Co 2.09
B2 0.6667 0.3333 0.0000  6 Co 2.09

Summary:
* symmetry: P6/mmm, No. 191


Entry 4:
The following is a GGA-PBE calculation of a relaxed structure of UP2H6O7, from the Materials Project.

abc: 9.3934 7.7743 13.3488
angles: 56.60 90.00 90.00
With the nearest neighbours (Å) after each atom.
Fractional coordinates of all 64 atoms:
U1 0.7342 0.7247 0.0562  2 O 1.81-1.83
U2 0.7658 0.7247 0.5562  2 O 1.81-1.83
U3 0.2658 0.2753 0.9438  2 O 1.81-1.83
U4 0.2342 0.2753 0.4438  2 O 1.81-1.83
P1 0.6433 0.3957 0.9522  2 H 1.41-1.42, 2 O 1.53
P2 0.8567 0.3957 0.4522  2 H 1.41-1.42, 2 O 1.53
P3 0.3567 0.6043 0.0478  2 H 1.41-1.42, 2 O 1.53
P4 0.1433 0.6043 0.5478  2 H 1.41-1.42, 2 O 1.53
P5 0.0143 0.0264 0.8409  2 H 1.42, 2 O 1.53
P6 0.4857 0.0264 0.3409  2 H 1.42, 2 O 1.53
P7 0.9857 0.9736 0.1591  2 H 1.42, 2 O 1.53
P8 0.5143 0.9736 0.6591  2 H 1.42, 2 O 1.53
H1 0.6437 0.2376 0.0760  1 P 1.42
H2 0.8563 0.2376 0.5760  1 P 1.42
H3 0.3563 0.7624 0.9240  1 P 1.42
H4 0.1437 0.7624 0.4240  1 P 1.42
H5 0.7248 0.3212 0.8952  1 P 1.41
H6 0.7752 0.3212 0.3952  1 P 1.41
H7 0.2752 0.6788 0.1048  1 P 1.41
H8 0.2248 0.6788 0.6048  1 P 1.41
H9 0.0605 0.0027 0.7482  1 P 1.42
H10 0.4395 0.0027 0.2482  1 P 1.42
H11 0.9395 0.9973 0.2518  1 P 1.42
H12 0.5605 0.9973 0.7518  1 P 1.42
H13 0.9161 0.1922 0.7877  1 P 1.42
H14 0.5839 0.1922 0.2877  1 P 1.42
H15 0.0839 0.8078 0.2123  1 P 1.42
H16 0.4161 0.8078 0.7123  1 P 1.42
H17 0.5116 0.6547 0.2571  1 O 0.98
H18 0.9884 0.6547 0.7571  1 O 0.98
H19 0.4884 0.3453 0.7429  1 O 0.98
H20 0.0116 0.3453 0.2429  1 O 0.98
H21 0.6656 0.6822 0.2977  1 O 0.99
H22 0.8344 0.6822 0.7977  1 O 0.99
H23 0.3344 0.3178 0.7023  1 O 0.99
H24 0.1656 0.3178 0.2023  1 O 0.99
O1 0.8223 0.4862 0.1704  1 U 1.83, 1 H 2.03
O2 0.6777 0.4862 0.6704  1 U 1.83, 1 H 2.03
O3 0.1777 0.5138 0.8296  1 U 1.83, 1 H 2.03
O4 0.3223 0.5138 0.3296  1 U 1.83, 1 H 2.03
O5 0.6485 0.9617 0.9426  1 U 1.81
O6 0.8515 0.9617 0.4426  1 U 1.81
O7 0.3515 0.0383 0.0574  1 U 1.81
O8 0.1485 0.0383 0.5574  1 U 1.81
O9 0.4903 0.4354 0.9046  1 P 1.53
O10 0.0097 0.4354 0.4046  1 P 1.53
O11 0.5097 0.5646 0.0954  1 P 1.53
O12 0.9903 0.5646 0.5954  1 P 1.53
O13 0.7208 0.5862 0.9316  1 P 1.53
O14 0.7792 0.5862 0.4316  1 P 1.53
O15 0.2792 0.4138 0.0684  1 P 1.53
O16 0.2208 0.4138 0.5684  1 P 1.53
O17 0.9385 0.8291 0.9363  1 P 1.53
O18 0.5615 0.8291 0.4363  1 P 1.53
O19 0.0615 0.1709 0.0637  1 P 1.53
O20 0.4385 0.1709 0.5637  1 P 1.53
O21 0.1432 0.0873 0.8844  1 P 1.53
O22 0.3568 0.0873 0.3844  1 P 1.53
O23 0.8568 0.9127 0.1156  1 P 1.53
O24 0.6432 0.9127 0.6156  1 P 1.53
O25 0.6055 0.7194 0.2274  2 H 0.98-0.99
O26 0.8945 0.7194 0.7274  2 H 0.98-0.99
O27 0.3945 0.2806 0.7726  2 H 0.98-0.99
O28 0.1055 0.2806 0.2726  2 H 0.98-0.99

Summary:
* symmetry: P2_1/c, No. 14
* total magnetic moment: 0.00 μB per atom


Entry 5:
The following is a GGA-PBE calculation of a relaxed structure of Ce6Mg23P, from the Materials Project.

abc: 10.2339 10.2339 10.2339
angles: 60.00 60.00 60.00
With the nearest neighbours (Å) after each atom.
Fractional coordinates of all 30 atoms:
Ce1 0.8012 0.8012 0.1988  1 P 2.88
Ce2 0.1988 0.8012 0.1988  1 P 2.88
Ce3 0.8012 0.1988 0.1988  1 P 2.88
Ce4 0.1988 0.1988 0.8012  1 P 2.88
Ce5 0.8012 0.1988 0.8012  1 P 2.88
Ce6 0.1988 0.8012 0.8012  1 P 2.88
Mg1 0.8295 0.8295 0.5114  9 Mg 2.96-3.26
Mg2 0.8295 0.5114 0.8295  9 Mg 2.96-3.26
Mg3 0.5114 0.8295 0.8295  9 Mg 2.96-3.26
Mg4 0.8295 0.8295 0.8295  9 Mg 2.96-3.26
Mg5 0.1705 0.1705 0.4886  9 Mg 2.96-3.26
Mg6 0.1705 0.4886 0.1705  9 Mg 2.96-3.26
Mg7 0.4886 0.1705 0.1705  9 Mg 2.96-3.26
Mg8 0.1705 0.1705 0.1705  9 Mg 2.96-3.26
Mg9 0.6206 0.6206 0.1383  7 Mg 3.02-3.19
Mg10 0.6206 0.1383 0.6206  7 Mg 3.02-3.19
Mg11 0.1383 0.6206 0.6206  7 Mg 3.02-3.19
Mg12 0.6206 0.6206 0.6206  7 Mg 3.02-3.19
Mg13 0.3794 0.3794 0.8617  7 Mg 3.02-3.19
Mg14 0.3794 0.8617 0.3794  7 Mg 3.02-3.19
Mg15 0.8617 0.3794 0.3794  7 Mg 3.02-3.19
Mg16 0.3794 0.3794 0.3794  7 Mg 3.02-3.19
Mg17 0.0000 0.0000 0.5000  8 Mg 2.96-3.17
Mg18 0.5000 0.0000 0.5000  8 Mg 2.96-3.17
Mg19 0.0000 0.5000 0.5000  8 Mg 2.96-3.17
Mg20 0.5000 0.5000 0.0000  8 Mg 2.96-3.17
Mg21 0.0000 0.5000 0.0000  8 Mg 2.96-3.17
Mg22 0.5000 0.0000 0.0000  8 Mg 2.96-3.17
Mg23 0.5000 0.5000 0.5000  8 Mg 3.02
P1 0.0000 0.0000 0.0000  6 Ce 2.88

Summary:
* symmetry: Fm-3m, No. 225
* total magnetic moment: 0.22 μB per atom


Entry 6:
The following is a GGA-PBE calculation of a relaxed structure of CsAcO3, from the Materials Project.

abc: 4.8703 4.8703 4.8703
angles: 90.00 90.00 90.00
With the nearest neighbours (Å) after each atom.
Fractional coordinates of all 5 atoms:
Cs1 0.0000 0.0000 0.0000  12 O 3.44
Ac1 0.5000 0.5000 0.5000  6 O 2.44
O1 0.5000 0.5000 0.0000  2 Ac 2.44
O2 0.5000 0.0000 0.5000  2 Ac 2.44
O3 0.0000 0.5000 0.5000  2 Ac 2.44

Summary:
* symmetry: Pm-3m, No. 221
* total magnetic moment: 0.40 μB per atom


Entry 7:
The following is a GGA-PBE calculation of a relaxed structure of CuHgC4S4N4, from the Materials Project.

abc: 7.8192 9.0764 15.4187
angles: 90.00 90.00 90.00
With the nearest neighbours (Å) after each atom.
Fractional coordinates of all 56 atoms:
Cu1 0.0000 0.0000 0.0000  4 N 1.96-1.99
Cu2 0.5000 0.5000 0.5000  4 N 1.96-1.99
Cu3 0.5000 0.5000 0.0000  4 N 1.96-1.99
Cu4 0.0000 0.0000 0.5000  4 N 1.96-1.99
Hg1 0.5486 0.0000 0.7500  4 S 2.57-2.72
Hg2 0.9514 0.5000 0.2500  4 S 2.57-2.72
Hg3 0.0486 0.5000 0.7500  4 S 2.57-2.72
Hg4 0.4514 0.0000 0.2500  4 S 2.57-2.72
C1 0.4038 0.8178 0.4325  1 N 1.18
C2 0.2002 0.8596 0.6552  1 N 1.18
C3 0.0962 0.6822 0.9325  1 N 1.18
C4 0.9038 0.3178 0.0675  1 N 1.18
C5 0.7998 0.8596 0.1552  1 N 1.18
C6 0.4038 0.1822 0.0675  1 N 1.18
C7 0.7002 0.6404 0.6552  1 N 1.18
C8 0.7998 0.1404 0.3448  1 N 1.18
C9 0.2002 0.1404 0.8448  1 N 1.18
C10 0.9038 0.6822 0.4325  1 N 1.18
C11 0.2998 0.6404 0.1552  1 N 1.18
C12 0.5962 0.8178 0.9325  1 N 1.18
C13 0.7002 0.3596 0.8448  1 N 1.18
C14 0.0962 0.3178 0.5675  1 N 1.18
C15 0.5962 0.1822 0.5675  1 N 1.18
C16 0.2998 0.3596 0.3448  1 N 1.18
S1 0.1932 0.7145 0.2349  1 C 1.63
S2 0.8068 0.7145 0.7349  1 C 1.63
S3 0.3068 0.2145 0.7651  1 C 1.63
S4 0.6932 0.2145 0.2651  1 C 1.63
S5 0.6548 0.0144 0.5924  1 C 1.64
S6 0.8068 0.2855 0.7651  1 C 1.63
S7 0.1548 0.5144 0.9076  1 C 1.64
S8 0.1548 0.4856 0.5924  1 C 1.64
S9 0.3452 0.9856 0.4076  1 C 1.64
S10 0.8452 0.5144 0.4076  1 C 1.64
S11 0.6548 0.9856 0.9076  1 C 1.64
S12 0.3452 0.0144 0.0924  1 C 1.64
S13 0.3068 0.7855 0.7349  1 C 1.63
S14 0.6932 0.7855 0.2349  1 C 1.63
S15 0.8452 0.4856 0.0924  1 C 1.64
S16 0.1932 0.2855 0.2651  1 C 1.63
N1 0.0553 0.1981 0.5471  1 C 1.18
N2 0.5553 0.3019 0.5471  1 C 1.18
N3 0.5553 0.6981 0.9529  1 C 1.18
N4 0.4447 0.3019 0.0471  1 C 1.18
N5 0.4447 0.6981 0.4529  1 C 1.18
N6 0.3824 0.4079 0.4021  1 C 1.18
N7 0.3824 0.5921 0.0979  1 C 1.18
N8 0.1176 0.0921 0.9021  1 C 1.18
N9 0.0553 0.8019 0.9529  1 C 1.18
N10 0.9447 0.8019 0.4529  1 C 1.18
N11 0.8824 0.0921 0.4021  1 C 1.18
N12 0.8824 0.9079 0.0979  1 C 1.18
N13 0.9447 0.1981 0.0471  1 C 1.18
N14 0.1176 0.9079 0.5979  1 C 1.18
N15 0.6176 0.5921 0.5979  1 C 1.18
N16 0.6176 0.4079 0.9021  1 C 1.18

Summary:
* symmetry: Pbcn, No. 60


no.,mass density (Mg/m³),DFT formation energy (eV per atom)
1,6.26,-3.60
2,4.40,-1.31
3,8.98,-0.47
4,3.41,-1.84
5,3.13,-0.13
6,5.86,-2.19
7,3.01,0.05